## Lu10Mn13C18 (PBE)

Data for a geometry-optimized Lu10Mn13C18 structure.

Lattice parameters (Å, degrees): 8.594 8.594 8.594 109.47 109.47 109.47
Fractional positions:
C  0.000  0.569  0.569
C  0.297  0.297  0.521
C  0.521  0.297  0.297
C  0.431  0.000  0.431
C  0.569  0.569  0.000
C  0.703  0.224  0.000
C  0.703  0.000  0.224
C  0.000  0.224  0.703
C  0.776  0.479  0.776
C  0.224  0.000  0.703
C  0.224  0.703  0.000
C  0.431  0.431  0.000
C  0.479  0.776  0.776
C  0.569  0.000  0.569
C  0.000  0.703  0.224
C  0.776  0.776  0.479
C  0.297  0.521  0.297
C  0.000  0.431  0.431
Mn  0.000  0.820  0.665
Mn  0.155  0.335  0.335
Mn  0.335  0.155  0.335
Mn  0.820  0.000  0.665
Mn  0.665  0.000  0.820
Mn  0.845  0.180  0.180
Mn  0.335  0.335  0.155
Mn  0.820  0.665  0.000
Mn  0.180  0.180  0.845
Mn  0.000  0.665  0.820
Mn  0.000  0.000  0.000
Mn  0.665  0.820  0.000
Mn  0.180  0.845  0.180
Lu  0.589  0.589  0.589
Lu  0.000  0.000  0.411
Lu  0.500  0.750  0.250
Lu  0.750  0.250  0.500
Lu  0.250  0.500  0.750
Lu  0.411  0.000  0.000
Lu  0.750  0.500  0.250
Lu  0.500  0.250  0.750
Lu  0.000  0.411  0.000
Lu  0.250  0.750  0.500

Computed properties:
The calculated density is 9.1 Mg/m³. For the calculated volume, the calculation gives 11.916 A^3/atom. Its formation enthalpy at 0 K is -0.3470 eV/atom.

***

## Na3Si2SnGePO12 (PBE)

Data for a geometry-optimized Na3Si2SnGePO12 structure.

Lattice parameters (Å, degrees): 15.315 8.871 8.984 89.78 125.41 90.30
Fractional positions:
O  0.584  0.367  0.738
O  0.065  0.931  0.423
O  0.149  0.587  0.733
O  0.641  0.868  0.925
O  0.050  0.676  0.057
O  0.858  0.352  0.585
O  0.464  0.186  0.442
O  0.546  0.175  0.055
O  0.088  0.138  0.259
O  0.261  0.186  0.248
O  0.749  0.692  0.231
O  0.934  0.049  0.570
O  0.640  0.133  0.421
O  0.571  0.432  0.421
O  0.362  0.851  0.580
O  0.644  0.914  0.234
O  0.846  0.426  0.252
O  0.427  0.448  0.075
O  0.857  0.643  0.081
O  0.251  0.812  0.727
O  0.148  0.373  0.923
O  0.746  0.308  0.727
O  0.582  0.639  0.241
O  0.352  0.073  0.751
O  0.923  0.136  0.255
O  0.951  0.319  0.944
O  0.070  0.052  0.919
O  0.572  0.569  0.922
O  0.459  0.811  0.938
O  0.356  0.917  0.273
O  0.155  0.426  0.251
O  0.359  0.126  0.082
O  0.936  0.950  0.071
O  0.045  0.330  0.555
O  0.747  0.838  0.755
O  0.251  0.339  0.753
O  0.922  0.855  0.747
O  0.425  0.368  0.755
O  0.427  0.641  0.268
O  0.750  0.158  0.258
O  0.644  0.082  0.732
O  0.085  0.854  0.740
O  0.959  0.683  0.441
O  0.538  0.820  0.559
O  0.140  0.643  0.422
O  0.260  0.673  0.275
O  0.433  0.565  0.571
O  0.846  0.575  0.751
Si  0.641  0.895  0.744
Si  0.355  0.889  0.749
Si  0.151  0.613  0.253
Si  0.848  0.391  0.751
Si  0.147  0.400  0.743
Si  0.852  0.610  0.253
Si  0.644  0.101  0.245
Si  0.359  0.102  0.261
Sn  0.895  0.254  0.434
Sn  0.396  0.245  0.937
Sn  0.105  0.250  0.064
Sn  0.896  0.746  0.934
Na  0.002  0.400  0.253
Na  0.500  0.877  0.250
Na  0.000  0.609  0.747
Na  0.809  0.065  0.718
Na  0.249  0.233  0.501
Na  0.249  0.770  0.001
Na  0.318  0.436  0.237
Na  0.312  0.570  0.717
Na  0.742  0.730  0.491
Na  0.807  0.933  0.214
Na  0.502  0.118  0.750
Na  0.741  0.272  0.991
Ge  0.397  0.759  0.442
Ge  0.604  0.754  0.058
Ge  0.605  0.245  0.558
Ge  0.105  0.747  0.561
P  0.006  0.035  0.255
P  0.507  0.471  0.748
P  0.505  0.537  0.254
P  0.005  0.955  0.745

Computed properties:
The calculated density is 3.6 Mg/m³. Its polymorph energy (0 for the lowest one) is 0.05 eV per formula unit. For the calculated volume, the calculation gives 12.434 A^3/atom. Its formation enthalpy at 0 K is -2.5591 eV/atom.

***

## CrN2 (PBE)

Data for a geometry-optimized CrN2 structure.

Lattice parameters (Å, degrees): 5.271 5.617 7.525 109.43 106.22 87.18
Fractional positions:
N  0.167  0.294  0.906
N  0.755  0.231  0.050
N  0.710  0.053  0.375
N  0.434  0.936  0.615
N  0.942  0.733  0.097
N  0.184  0.190  0.364
N  0.363  0.872  0.946
N  0.655  0.418  0.717
Cr  0.894  0.051  0.217
Cr  0.434  0.088  0.875
Cr  0.884  0.430  0.938
Cr  0.501  0.150  0.523

Computed properties:
The calculated density is 2.6 Mg/m³. For the calculated volume, the calculation gives 16.793 A^3/atom. The calculation puts the maximum piezoelectric response at 2.35 C/m². Its formation enthalpy at 0 K is -0.0156 eV/atom.

***

## Ba3BPO7 (PBE)

Data for a geometry-optimized Ba3BPO7 structure.

Lattice parameters (Å, degrees): 5.600 5.600 14.900 90.00 90.00 120.00
Fractional positions:
O  0.044  0.522  0.742
O  0.522  0.044  0.242
O  0.478  0.956  0.742
O  0.956  0.478  0.242
O  0.850  0.150  0.032
O  0.000  0.000  0.392
O  0.150  0.850  0.532
O  0.850  0.699  0.032
O  0.150  0.301  0.532
O  0.000  0.000  0.892
O  0.301  0.150  0.032
O  0.699  0.850  0.532
O  0.478  0.522  0.742
O  0.522  0.478  0.242
B  0.667  0.333  0.242
B  0.333  0.667  0.742
P  0.000  0.000  0.496
P  0.000  0.000  0.996
Ba  0.333  0.667  0.383
Ba  0.667  0.333  0.883
Ba  0.000  0.000  0.720
Ba  0.000  0.000  0.220
Ba  0.667  0.333  0.598
Ba  0.333  0.667  0.098

Computed properties:
The calculated density is 4.6 Mg/m³. For the calculated volume, the calculation gives 16.862 A^3/atom. Its formation enthalpy at 0 K is -3.2107 eV/atom.

***

## LiOsO3 (PBE)

Data for a geometry-optimized LiOsO3 structure.

Lattice parameters (Å, degrees): 5.296 5.296 5.296 58.44 58.44 58.44
Fractional positions:
O  0.250  0.624  0.876
O  0.124  0.750  0.376
O  0.376  0.124  0.750
O  0.624  0.876  0.250
O  0.750  0.376  0.124
O  0.876  0.250  0.624
Li  0.750  0.750  0.750
Li  0.250  0.250  0.250
Os  0.000  0.000  0.000
Os  0.500  0.500  0.500

Computed properties:
The calculated density is 8.0 Mg/m³. For the calculated volume, the calculation gives 10.128 A^3/atom. Its formation enthalpy at 0 K is -1.7386 eV/atom.

***

## MgZnO2 (PBE)

Data for a geometry-optimized MgZnO2 structure.

Lattice parameters (Å, degrees): 3.306 3.306 5.209 90.00 90.00 120.00
Fractional positions:
Zn  0.667  0.333  0.003
O  0.667  0.333  0.389
O  0.333  0.667  0.883
Mg  0.333  0.667  0.497

Computed properties:
The calculated density is 4.1 Mg/m³. Its polymorph energy (0 for the lowest one) is 0.00 eV per formula unit. For the calculated volume, the calculation gives 12.324 A^3/atom. Its formation enthalpy at 0 K is -2.3919 eV/atom.